No. 1
# FeSnO3

Crystalline FeSnO3 at its relaxed geometry (PBE with a Hubbard U, the Materials Project database).

Properties
E_tot in eV/cell: -28.4

a b c (Å): 4.026 4.026 4.026
angles (deg): 90.00 90.00 90.00
Space group Pm-3m (No. 221)
One atom of each set of equivalent atoms:
Fe 0.000 0.000 0.000 [1 per cell]
Sn 0.500 0.500 0.500 [1 per cell]
O 0.000 0.500 0.500 [3 per cell]

=====

No. 2
# MnVO4

Crystalline MnVO4 at its relaxed geometry (PBE with a Hubbard U, the Materials Project database).

Properties
E_tot in eV/cell: -179.9

a b c (Å): 5.676 8.303 6.457
angles (deg): 90.00 90.00 90.00
Space group Cmcm (No. 63)
One atom of each set of equivalent atoms:
Mn 0.000 0.000 0.000 [4 per cell]
V 0.000 0.351 0.250 [4 per cell]
O 0.000 0.228 0.037 [8 per cell]
O 0.242 0.027 0.750 [8 per cell]

=====

no.,total magnetization (μB/f.u.)
1,3.999
2,4.000